(1)
Compound: Er6MoO12
Source: Materials Project
Functional: PBE+U
Structure: optimized geometry

a = 5.1991 Å, b = 7.3886 Å, c = 8.8750 Å
α = 97.78°, β = 92.87°, γ = 103.70°
Space group P-1 (No. 2)
Asymmetric unit:
Er1 0.0633 0.2990 0.0491
Er2 0.0665 0.0972 0.3380
Er3 0.3971 0.3858 0.7406
Mo1 0.5000 0.0000 0.0000
O1 0.1006 0.4606 0.8634
O2 0.1894 0.9700 0.1185
O3 0.1995 0.1495 0.5770
O4 0.2663 0.8586 0.8249
O5 0.2882 0.3680 0.2788
O6 0.4352 0.2316 0.9345

Values from the calculation:
- Crystal system: triclinic
- Density: 6.56 g/cm³

=====

(2)
Compound: MgV3CoSn2P6O24
Source: Materials Project
Functional: PBE+U
Structure: optimized geometry

a = 8.4590 Å, b = 8.5852 Å, c = 9.1870 Å
α = 62.19°, β = 62.82°, γ = 60.50°
Space group P1 (No. 1)
Asymmetric unit:
Mg1 0.0000 0.0000 0.0000
V1 0.1826 0.9127 0.2961
V2 0.4564 0.2364 0.4082
V3 0.6724 0.4256 0.7890
Co1 0.9916 0.7120 0.8714
Sn1 0.4621 0.0617 0.8173
Sn2 0.8402 0.5806 0.2932
P1 0.0746 0.1123 0.6027
P2 0.2839 0.6038 0.1051
P3 0.3670 0.5309 0.5976
P4 0.5685 0.0456 0.1056
P5 0.7868 0.8258 0.5895
P6 0.8543 0.3150 0.1060
O1 0.0433 0.1505 0.1297
O2 0.0748 0.9500 0.7788
O3 0.1126 0.0544 0.4541
O4 0.1130 0.5961 0.0835
O5 0.1902 0.5320 0.7530
O6 0.2166 0.8121 0.1006
O7 0.2400 0.1776 0.5617
O8 0.3011 0.4767 0.2868
O9 0.3367 0.6768 0.4266
O10 0.4435 0.9426 0.1393
O11 0.4513 0.3280 0.5755
O12 0.4662 0.5594 0.9609
O13 0.4895 0.1389 0.2416
O14 0.5213 0.5485 0.6281
O15 0.5783 0.1892 0.9198
O16 0.5947 0.9804 0.5542
O17 0.6891 0.2856 0.2726
O18 0.7779 0.8989 0.1053
O19 0.7863 0.6285 0.6489
O20 0.7889 0.8673 0.7395
O21 0.8353 0.2873 0.9585
O22 0.8559 0.5107 0.0664
O23 0.8867 0.2795 0.6257
O24 0.9495 0.8513 0.4226

Values from the calculation:
- Relative energy among the computed polymorphs: 0 meV/atom
- Crystal system: triclinic
- Density: 3.53 g/cm³

=====

(3)
Compound: Rb2FeF5
Source: Materials Project
Functional: PBE+U
Structure: optimized geometry

a = 7.7346 Å, b = 5.9148 Å, c = 12.2391 Å
α = 90.00°, β = 90.00°, γ = 90.00°
Space group Pnma (No. 62)
Asymmetric unit:
Rb1 0.0131 0.2500 0.2254
Rb2 0.1536 0.7500 0.4157
Fe1 0.1617 0.7500 0.0620
F1 0.0000 0.0000 0.0000
F2 0.0179 0.7500 0.1897
F3 0.1907 0.0128 0.6151
F4 0.2242 0.2500 0.4190

Values from the calculation:
- Crystal system: orthorhombic
- Density: 3.82 g/cm³

=====

(4)
Compound: V2Cu3H6O11
Source: Materials Project
Functional: PBE+U
Structure: optimized geometry

a = 10.9505 Å, b = 5.9089 Å, c = 7.1967 Å
α = 90.00°, β = 96.84°, γ = 90.00°
Space group C2/m (No. 12)
Asymmetric unit:
V1 0.0054 0.0000 0.2496
Cu1 0.0000 0.5000 0.5000
Cu2 0.2500 0.2500 0.5000
H1 0.1463 0.3706 0.9393
H2 0.1504 0.5000 0.2395
O1 0.0000 0.0000 0.0000
O2 0.0705 0.2360 0.6894
O3 0.1532 0.5000 0.3825
O4 0.1625 0.0000 0.3542
O5 0.1700 0.5000 0.0214

Values from the calculation:
- Relative energy among the computed polymorphs: 0 meV/atom
- Crystal system: monoclinic
- Density: 3.41 g/cm³

=====

(5)
Compound: LiFe8O14F2
Source: Materials Project
Functional: PBE+U
Structure: optimized geometry

a = 4.7220 Å, b = 4.7224 Å, c = 11.9229 Å
α = 90.03°, β = 90.05°, γ = 90.00°
Space group P1 (No. 1)
Asymmetric unit:
Li1 0.0000 0.0000 0.0000
Fe1 0.9995 0.4991 0.9342
Fe2 0.0034 0.5035 0.4435
Fe3 0.0043 0.5012 0.1848
Fe4 0.0255 0.4748 0.6881
Fe5 0.4756 0.9744 0.3140
Fe6 0.4973 0.0024 0.8172
Fe7 0.4971 0.0035 0.5586
Fe8 0.5006 0.9983 0.0679
O1 0.1761 0.6781 0.3136
O2 0.1896 0.6941 0.0577
O3 0.1945 0.6873 0.8133
O4 0.2013 0.6866 0.5685
O5 0.2995 0.1865 0.4335
O6 0.3007 0.1821 0.1889
O7 0.3072 0.1905 0.9442
O8 0.3252 0.1789 0.6885
O9 0.6856 0.8026 0.4364
O10 0.6876 0.8046 0.1886
O11 0.6947 0.8095 0.9414
O12 0.8103 0.3046 0.0605
O13 0.8150 0.3026 0.5656
O14 0.8179 0.2991 0.8137
F1 0.7046 0.7957 0.6894
F2 0.7947 0.2968 0.3126

Values from the calculation:
- Relative energy among the computed polymorphs: 15 meV/atom
- Crystal system: triclinic
- Density: 4.47 g/cm³

=====

(6)
Compound: Li3Mn2P2C2O14
Source: Materials Project
Functional: PBE+U
Structure: optimized geometry

a = 8.2041 Å, b = 8.2371 Å, c = 9.5576 Å
α = 107.48°, β = 106.43°, γ = 103.95°
Space group P1 (No. 1)
Asymmetric unit:
Li1 0.0000 0.0000 0.0000
Li2 0.0230 0.9480 0.5157
Li3 0.2620 0.6866 0.4972
Li4 0.3112 0.7406 0.0389
Li5 0.5604 0.4828 0.0521
Li6 0.7524 0.2346 0.5372
Mn1 0.2261 0.4020 0.6106
Mn2 0.3498 0.0319 0.9393
Mn3 0.7160 0.8945 0.6093
Mn4 0.8405 0.5185 0.9307
P1 0.0764 0.2671 0.8459
P2 0.4729 0.1657 0.6921
P3 0.5875 0.7588 0.8518
P4 0.9933 0.6622 0.6994
C1 0.0136 0.6977 0.2153
C2 0.0462 0.2173 0.3299
C3 0.5293 0.2074 0.2210
C4 0.5365 0.7280 0.3254
O1 0.0076 0.1875 0.4490
O2 0.0608 0.7324 0.1033
O3 0.0889 0.5646 0.5995
O4 0.1036 0.7868 0.3616
O5 0.1323 0.8014 0.8674
O6 0.1634 0.1714 0.9435
O7 0.1853 0.3706 0.3863
O8 0.2212 0.4040 0.8170
O9 0.3439 0.0228 0.7267
O10 0.3556 0.2394 0.5870
O11 0.3872 0.0531 0.1599
O12 0.4432 0.6170 0.6866
O13 0.4530 0.6423 0.1778
O14 0.4783 0.6980 0.4325
O15 0.4994 0.8562 0.9536
O16 0.5473 0.2625 0.1075
O17 0.5742 0.0803 0.5977
O18 0.6076 0.3200 0.8553
O19 0.6324 0.2866 0.3623
O20 0.6909 0.6696 0.9509
O21 0.6973 0.8599 0.3904
O22 0.7287 0.8907 0.8176
O23 0.8562 0.5162 0.7267
O24 0.8623 0.5573 0.1547
O25 0.9026 0.7572 0.6037
O26 0.9343 0.1269 0.6800
O27 0.9639 0.1116 0.1893
O28 0.9879 0.3723 0.9463

Values from the calculation:
- Relative energy among the computed polymorphs: 0 meV/atom
- Crystal system: triclinic
- Density: 2.65 g/cm³

=====

no.,electronic total energy (eV per cell),energy of formation from the pure elements (eV/atom)
1,-150.36,-3.38
2,-265.79,-2.54
3,-154.47,-2.90
4,-253.95,-1.49
5,-152.30,-1.52
6,-323.62,-2.27